Record 1
Here is P2S5 after structural relaxation from the Materials Project database. Energies are from meta-GGA r2SCAN.

Cell lengths 9.321, 9.462, 9.461 Å; angles 92.59, 109.13, 101.08 degrees
Positions (direct):
P  0.742  0.186  0.910
P  0.258  0.814  0.090
P  0.084  0.282  0.837
P  0.916  0.718  0.163
P  0.736  0.296  0.567
P  0.264  0.704  0.433
P  0.820  0.966  0.658
P  0.180  0.034  0.342
S  0.652  0.191  0.064
S  0.348  0.809  0.936
S  0.979  0.284  0.003
S  0.021  0.716  0.997
S  0.632  0.299  0.733
S  0.368  0.701  0.267
S  0.715  0.970  0.823
S  0.285  0.030  0.177
S  0.300  0.370  0.924
S  0.700  0.630  0.076
S  0.974  0.396  0.662
S  0.026  0.604  0.338
S  0.058  0.066  0.752
S  0.942  0.934  0.248
S  0.638  0.397  0.406
S  0.362  0.603  0.594
S  0.713  0.080  0.482
S  0.287  0.920  0.518
S  0.797  0.770  0.581
S  0.203  0.230  0.419

- Spin magnetization: 0.0 μB per formula unit

Record 2
Here is P2S3 after structural relaxation from the Materials Project database. Energies are from meta-GGA r2SCAN.

Cell lengths 10.801, 6.775, 7.056 Å; angles 89.11, 90.00, 90.00 degrees
Positions (direct):
P  0.114  0.754  0.269
P  0.614  0.246  0.731
P  0.886  0.246  0.731
P  0.386  0.754  0.269
P  0.250  0.792  0.510
P  0.750  0.208  0.490
P  0.250  0.331  0.389
P  0.750  0.669  0.611
S  0.541  0.892  0.253
S  0.041  0.108  0.747
S  0.459  0.108  0.747
S  0.959  0.892  0.253
S  0.093  0.444  0.247
S  0.593  0.556  0.753
S  0.907  0.556  0.753
S  0.407  0.444  0.247
S  0.250  0.851  0.071
S  0.750  0.149  0.929
S  0.250  0.517  0.634
S  0.750  0.483  0.366

- Excess energy over the best structure of this formula in the dataset: 0.0028 eV/atom
- Spin magnetization: 0.0 μB per formula unit

Record 3
Here is P4S5 after structural relaxation from the Materials Project database. Energies are from meta-GGA r2SCAN.

Cell lengths 6.492, 6.736, 11.434 Å; angles 90.00, 90.00, 115.76 degrees
Positions (direct):
P  0.714  0.653  0.750
P  0.286  0.347  0.250
P  0.135  0.229  0.750
P  0.865  0.771  0.250
P  0.577  0.143  0.851
P  0.423  0.857  0.351
P  0.423  0.857  0.149
P  0.577  0.143  0.649
S  0.359  0.572  0.750
S  0.641  0.428  0.250
S  0.236  0.083  0.889
S  0.764  0.917  0.389
S  0.764  0.917  0.111
S  0.236  0.083  0.611
S  0.775  0.479  0.889
S  0.225  0.521  0.389
S  0.225  0.521  0.111
S  0.775  0.479  0.611

- Excess energy over the best structure of this formula in the dataset: 0.0165 eV/atom
- Spin magnetization: 0.0 μB per formula unit

Record 4
Here is P4S5 after structural relaxation from the Materials Project database. Energies are from meta-GGA r2SCAN.

Cell lengths 6.554, 6.901, 11.162 Å; angles 90.00, 90.00, 111.72 degrees
Positions (direct):
P  0.318  0.604  0.992
P  0.682  0.396  0.492
P  0.539  0.514  0.865
P  0.461  0.486  0.365
P  0.250  0.435  0.742
P  0.750  0.565  0.242
P  0.521  0.946  0.762
P  0.479  0.054  0.262
S  0.371  0.911  0.933
S  0.629  0.089  0.433
S  0.747  0.793  0.795
S  0.253  0.207  0.295
S  0.287  0.717  0.655
S  0.713  0.283  0.155
S  0.045  0.391  0.891
S  0.955  0.609  0.391
S  0.158  0.212  0.626
S  0.842  0.788  0.126

- Excess energy over the best structure of this formula in the dataset: 0.0000 eV/atom
- Spin magnetization: 0.0 μB per formula unit

Record 5
Here is P2S7 after structural relaxation from the Materials Project database. Energies are from meta-GGA r2SCAN.

Cell lengths 6.218, 6.598, 11.486 Å; angles 82.61, 88.17, 85.84 degrees
Positions (direct):
P  0.053  0.166  0.063
P  0.629  0.809  0.493
P  0.371  0.191  0.507
P  0.947  0.834  0.937
S  0.274  0.355  0.049
S  0.147  0.849  0.082
S  0.852  0.223  0.208
S  0.631  0.006  0.216
S  0.753  0.757  0.325
S  0.275  0.420  0.397
S  0.293  0.896  0.477
S  0.707  0.104  0.523
S  0.725  0.580  0.603
S  0.247  0.243  0.675
S  0.369  0.994  0.784
S  0.148  0.777  0.792
S  0.853  0.151  0.918
S  0.726  0.645  0.951

- Spin magnetization: 0.0 μB per formula unit

Record 6
Here is P2S3 after structural relaxation from the Materials Project database. Energies are from meta-GGA r2SCAN.

Cell lengths 7.164, 11.831, 12.468 Å; angles 90.00, 90.00, 102.96 degrees
Positions (direct):
P  0.279  0.164  0.916
P  0.721  0.336  0.416
P  0.721  0.836  0.084
P  0.279  0.664  0.584
P  0.262  0.439  0.937
P  0.738  0.061  0.437
P  0.738  0.561  0.063
P  0.262  0.939  0.563
P  0.229  0.349  0.104
P  0.771  0.151  0.604
P  0.771  0.651  0.896
P  0.229  0.849  0.396
P  0.838  0.245  0.953
P  0.162  0.255  0.453
P  0.162  0.755  0.047
P  0.838  0.745  0.547
S  0.983  0.117  0.894
S  0.017  0.383  0.394
S  0.017  0.883  0.106
S  0.983  0.617  0.606
S  0.393  0.327  0.847
S  0.607  0.173  0.347
S  0.607  0.673  0.153
S  0.393  0.827  0.653
S  0.346  0.202  0.078
S  0.654  0.298  0.578
S  0.654  0.798  0.922
S  0.346  0.702  0.422
S  0.385  0.042  0.857
S  0.615  0.458  0.357
S  0.615  0.958  0.143
S  0.385  0.542  0.643
S  0.975  0.402  0.880
S  0.025  0.098  0.380
S  0.025  0.598  0.120
S  0.975  0.902  0.620
S  0.931  0.282  0.112
S  0.069  0.218  0.612
S  0.069  0.718  0.888
S  0.931  0.782  0.388

- Excess energy over the best structure of this formula in the dataset: 0.0000 eV/atom
- Spin magnetization: 0.0 μB per formula unit

Record 7
Here is PS after structural relaxation from the Materials Project database. Energies are from meta-GGA r2SCAN.

Cell lengths 6.828, 6.828, 8.961 Å; angles 80.42, 80.42, 84.92 degrees
Positions (direct):
P  0.197  0.798  0.430
P  0.202  0.803  0.070
P  0.803  0.202  0.570
P  0.798  0.197  0.930
P  0.529  0.765  0.134
P  0.235  0.471  0.366
P  0.471  0.235  0.866
P  0.765  0.529  0.634
S  0.530  0.470  0.250
S  0.470  0.530  0.750
S  0.051  0.949  0.250
S  0.949  0.051  0.750
S  0.480  0.899  0.333
S  0.101  0.520  0.167
S  0.520  0.101  0.667
S  0.899  0.480  0.833

- Spin magnetization: 0.0 μB per formula unit

Record 8
Here is P2S3 after structural relaxation from the Materials Project database. Energies are from meta-GGA r2SCAN.

Cell lengths 4.616, 10.625, 25.638 Å; angles 90.00, 90.00, 90.00 degrees
Positions (direct):
P  0.667  0.853  0.476
P  0.167  0.647  0.524
P  0.167  0.353  0.524
P  0.667  0.147  0.476
S  0.981  0.718  0.454
S  0.481  0.782  0.546
S  0.481  0.218  0.546
S  0.981  0.282  0.454
S  0.913  0.000  0.512
S  0.413  0.500  0.488

- Excess energy over the best structure of this formula in the dataset: 0.0454 eV/atom
- Spin magnetization: 0.0 μB per formula unit

What did we get for VASP energy? Answer: -8.5263 -8.6165 -8.6373 -8.6539 -8.4216 -8.6192 -8.6689 -8.5738 eV per atom, in the order shown.